{
  "formula": "K2O",
  "functional": "PBE",
  "state": "relaxed",
  "lattice": [[3.697, 3.695, 0.000], [-3.697, 3.695, 0.000], [0.000, 3.611, 6.676]],
  "species": ["K", "K", "K", "K", "O", "O"],
  "frac_coords": [[0.076, 0.321, 0.852], [0.924, 0.679, 0.148], [0.321, 0.076, 0.352], [0.679, 0.924, 0.648], [0.871, 0.129, 0.250], [0.129, 0.871, 0.750]],
  "ef_ev_per_atom": -1.208,
  "vol_a3_per_atom": 30.4
}